Record 1
DFT (meta-GGA r2SCAN) results for a relaxed Tm5Pt3 crystal.

Results
ΔE_f	-1.1560	eV/atom
size of the total moment	0.000	Bohr magnetons per cell

a b c (Å): 8.308 8.308 6.043
angles (deg): 90.00 90.00 120.00
Fractional coordinates of all 16 atoms:
Tm1 0.667 0.333 0.000
Tm2 0.333 0.667 0.000
Tm3 0.333 0.667 0.500
Tm4 0.667 0.333 0.500
Tm5 0.752 0.752 0.750
Tm6 0.248 0.000 0.750
Tm7 0.000 0.248 0.750
Tm8 0.248 0.248 0.250
Tm9 0.752 0.000 0.250
Tm10 0.000 0.752 0.250
Pt1 0.394 0.394 0.750
Pt2 0.606 0.000 0.750
Pt3 0.000 0.606 0.750
Pt4 0.606 0.606 0.250
Pt5 0.394 0.000 0.250
Pt6 0.000 0.394 0.250


Record 2
DFT (meta-GGA r2SCAN) results for a relaxed CaNiGe2 crystal.

Results
ΔE_f	-0.5701	eV/atom
size of the total moment	0.000	Bohr magnetons per cell

a b c (Å): 4.056 4.212 8.800
angles (deg): 103.85 90.00 90.00
Fractional coordinates of all 8 atoms:
Ca1 0.250 0.891 0.782
Ca2 0.750 0.109 0.218
Ni1 0.750 0.321 0.643
Ni2 0.250 0.679 0.357
Ge1 0.750 0.750 0.500
Ge2 0.250 0.250 0.500
Ge3 0.250 0.543 0.086
Ge4 0.750 0.457 0.914


Record 3
DFT (meta-GGA r2SCAN) results for a relaxed LiCo3O6 crystal.

Results
ΔE_f	-1.3385	eV/atom
size of the total moment	4.000	Bohr magnetons per cell

a b c (Å): 4.784 4.815 10.070
angles (deg): 76.75 76.24 60.23
Fractional coordinates of all 20 atoms:
Li1 0.084 0.754 0.754
Li2 0.906 0.254 0.254
Co1 0.000 0.334 0.994
Co2 0.173 0.834 0.494
Co3 0.335 0.664 0.004
Co4 0.497 0.164 0.504
Co5 0.663 0.000 0.004
Co6 0.833 0.500 0.504
O1 0.036 0.018 0.901
O2 0.133 0.477 0.601
O3 0.194 0.204 0.400
O4 0.289 0.977 0.101
O5 0.367 0.368 0.902
O6 0.462 0.800 0.601
O7 0.545 0.518 0.401
O8 0.637 0.300 0.101
O9 0.702 0.704 0.900
O10 0.862 0.869 0.402
O11 0.808 0.127 0.599
O12 0.965 0.627 0.099


Record 4
DFT (meta-GGA r2SCAN) results for a relaxed Zr5Sb3P crystal.

Results
ΔE_f	-1.0049	eV/atom
size of the total moment	0.000	Bohr magnetons per cell

a b c (Å): 8.513 8.513 6.034
angles (deg): 90.00 90.00 120.00
Fractional coordinates of all 18 atoms:
Zr1 0.667 0.333 0.000
Zr2 0.333 0.667 0.000
Zr3 0.333 0.667 0.500
Zr4 0.667 0.333 0.500
Zr5 0.751 0.751 0.750
Zr6 0.249 0.000 0.750
Zr7 0.000 0.249 0.750
Zr8 0.249 0.249 0.250
Zr9 0.751 0.000 0.250
Zr10 0.000 0.751 0.250
Sb1 0.400 0.400 0.750
Sb2 0.600 0.000 0.750
Sb3 0.000 0.600 0.750
Sb4 0.600 0.600 0.250
Sb5 0.400 0.000 0.250
Sb6 0.000 0.400 0.250
P1 0.000 0.000 0.000
P2 0.000 0.000 0.500


Record 5
DFT (meta-GGA r2SCAN) results for a relaxed Mg3In crystal.

Results
ΔE_f	-0.1060	eV/atom
size of the total moment	0.000	Bohr magnetons per cell

a b c (Å): 10.972 10.972 10.972
angles (deg): 33.28 33.28 33.28
Fractional coordinates of all 16 atoms:
Mg1 0.001 0.499 0.499
Mg2 0.499 0.499 0.001
Mg3 0.499 0.001 0.499
Mg4 0.417 0.917 0.917
Mg5 0.917 0.917 0.417
Mg6 0.917 0.417 0.917
Mg7 0.833 0.333 0.333
Mg8 0.333 0.333 0.833
Mg9 0.333 0.833 0.333
Mg10 0.249 0.751 0.751
Mg11 0.751 0.751 0.249
Mg12 0.751 0.249 0.751
In1 0.000 0.000 0.000
In2 0.250 0.250 0.250
In3 0.416 0.416 0.416
In4 0.834 0.834 0.834


Record 6
DFT (meta-GGA r2SCAN) results for a relaxed La2HfSe5 crystal.

Results
ΔE_f	-2.0612	eV/atom
size of the total moment	0.000	Bohr magnetons per cell

a b c (Å): 7.759 8.554 12.027
angles (deg): 90.00 90.00 90.00
Fractional coordinates of all 32 atoms:
La1 0.942 0.000 0.172
La2 0.558 0.500 0.672
La3 0.058 0.500 0.828
La4 0.442 0.000 0.328
La5 0.058 0.000 0.828
La6 0.442 0.500 0.328
La7 0.942 0.500 0.172
La8 0.558 0.000 0.672
Hf1 0.427 0.750 0.009
Hf2 0.073 0.750 0.509
Hf3 0.573 0.250 0.991
Hf4 0.927 0.250 0.491
Se1 0.824 0.965 0.427
Se2 0.676 0.535 0.927
Se3 0.176 0.465 0.573
Se4 0.324 0.035 0.073
Se5 0.176 0.035 0.573
Se6 0.324 0.465 0.073
Se7 0.824 0.535 0.427
Se8 0.676 0.965 0.927
Se9 0.640 0.750 0.190
Se10 0.860 0.750 0.690
Se11 0.360 0.250 0.810
Se12 0.140 0.250 0.310
Se13 0.441 0.750 0.506
Se14 0.059 0.750 0.006
Se15 0.559 0.250 0.494
Se16 0.941 0.250 0.994
Se17 0.158 0.750 0.293
Se18 0.342 0.750 0.793
Se19 0.842 0.250 0.707
Se20 0.658 0.250 0.207


Record 7
DFT (meta-GGA r2SCAN) results for a relaxed TbRh crystal.

Results
ΔE_f	-0.9200	eV/atom
size of the total moment	0.000	Bohr magnetons per cell

a b c (Å): 3.420 3.420 3.420
angles (deg): 90.00 90.00 90.00
Fractional coordinates of all 2 atoms:
Tb1 0.500 0.500 0.500
Rh1 0.000 0.000 0.000


Record 8
DFT (meta-GGA r2SCAN) results for a relaxed EuSiPt crystal.

Results
ΔE_f	-1.1498	eV/atom
size of the total moment	27.935	Bohr magnetons per cell

a b c (Å): 6.427 6.427 6.427
angles (deg): 89.99 90.02 89.97
Fractional coordinates of all 12 atoms:
Eu1 0.373 0.873 0.626
Eu2 0.873 0.627 0.373
Eu3 0.627 0.374 0.873
Eu4 0.126 0.127 0.127
Si1 0.664 0.164 0.336
Si2 0.164 0.336 0.664
Si3 0.336 0.664 0.164
Si4 0.836 0.836 0.836
Pt1 0.084 0.584 0.916
Pt2 0.584 0.916 0.084
Pt3 0.916 0.084 0.584
Pt4 0.416 0.416 0.416


Record 9
DFT (meta-GGA r2SCAN) results for a relaxed Cr3Se4 crystal.

Results
ΔE_f	-0.8223	eV/atom
size of the total moment	10.000	Bohr magnetons per cell

a b c (Å): 3.669 6.417 6.930
angles (deg): 116.06 105.35 90.00
Fractional coordinates of all 7 atoms:
Cr1 0.500 0.500 0.000
Cr2 0.238 0.220 0.476
Cr3 0.762 0.780 0.524
Se1 0.865 0.521 0.731
Se2 0.135 0.479 0.269
Se3 0.376 0.049 0.752
Se4 0.624 0.951 0.248